Record 1
The following is a PBE+U calculation of NbAgWO7 after structural relaxation, from the Materials Project.

Lattice parameters (Å, degrees): 7.463 7.463 7.463 121.22 119.00 89.82
Positions (direct):
Nb 0.000 0.000 0.000
Nb 0.500 0.000 0.500
Ag 0.500 0.000 0.000
Ag 0.500 0.500 0.500
W 0.000 0.000 0.500
W 0.000 0.500 0.000
O 0.057 0.307 0.750
O 0.058 0.315 0.118
O 0.058 0.940 0.744
O 0.304 0.060 0.618
O 0.304 0.685 0.244
O 0.319 0.069 0.250
O 0.426 0.676 0.750
O 0.574 0.324 0.250
O 0.681 0.931 0.750
O 0.696 0.315 0.756
O 0.696 0.940 0.382
O 0.942 0.060 0.256
O 0.942 0.685 0.882
O 0.943 0.693 0.250


Record 2
The following is a PBE+U calculation of NiAgO2 after structural relaxation, from the Materials Project.

Lattice parameters (Å, degrees): 2.999 2.999 12.315 90.00 90.00 120.00
Positions (direct):
Ni 0.000 0.000 0.000
Ni 0.000 0.000 0.500
Ag 0.333 0.667 0.250
Ag 0.667 0.333 0.750
O 0.333 0.667 0.082
O 0.333 0.667 0.418
O 0.667 0.333 0.582
O 0.667 0.333 0.918


Record 3
The following is a PBE+U calculation of Ni2Ag3O4 after structural relaxation, from the Materials Project.

Lattice parameters (Å, degrees): 3.010 3.010 28.043 90.00 90.00 120.00
Positions (direct):
Ni 0.333 0.667 0.141
Ni 0.333 0.667 0.359
Ni 0.667 0.333 0.641
Ni 0.667 0.333 0.859
Ag 0.333 0.667 0.541
Ag 0.333 0.667 0.750
Ag 0.333 0.667 0.959
Ag 0.667 0.333 0.041
Ag 0.667 0.333 0.250
Ag 0.667 0.333 0.459
O 0.000 0.000 0.102
O 0.000 0.000 0.398
O 0.000 0.000 0.602
O 0.000 0.000 0.898
O 0.333 0.667 0.677
O 0.333 0.667 0.823
O 0.667 0.333 0.177
O 0.667 0.333 0.323


Record 4
The following is a PBE+U calculation of NiAgO2 after structural relaxation, from the Materials Project.

Lattice parameters (Å, degrees): 6.399 6.399 6.399 27.14 27.14 27.14
Positions (direct):
Ni 0.000 0.000 0.000
Ag 0.500 0.500 0.500
O 0.388 0.388 0.388
O 0.612 0.612 0.612


Record 5
The following is a PBE+U calculation of NiAgO2 after structural relaxation, from the Materials Project.

Lattice parameters (Å, degrees): 5.131 6.077 7.279 62.18 106.15 92.61
Positions (direct):
Ag 0.500 0.750 0.000
Ni 0.499 0.248 0.500
O 0.115 0.328 0.337
Ni 0.001 0.502 0.500
Ag 0.500 0.250 0.000
Ag 0.000 0.500 0.000
O 0.385 0.422 0.663
O 0.616 0.575 0.337
O 0.884 0.675 0.663
O 0.385 0.921 0.663
Ni 0.499 0.749 0.500
Ag 0.000 0.000 0.000
O 0.884 0.175 0.663
O 0.115 0.829 0.337
Ni 0.001 0.001 0.500
O 0.616 0.075 0.337


Record 6
The following is a PBE+U calculation of NiAg4P6O24 after structural relaxation, from the Materials Project.

Lattice parameters (Å, degrees): 6.617 8.144 9.444 95.94 102.32 91.99
Positions (direct):
Ni 0.000 0.000 0.000
Ag 0.193 0.434 0.162
Ag 0.384 0.717 0.575
Ag 0.616 0.283 0.425
Ag 0.807 0.566 0.838
P 0.144 0.279 0.494
P 0.274 0.441 0.792
P 0.460 0.143 0.702
P 0.540 0.857 0.298
P 0.726 0.559 0.208
P 0.856 0.721 0.506
O 0.010 0.992 0.194
O 0.069 0.769 0.596
O 0.115 0.398 0.635
O 0.143 0.482 0.902
O 0.179 0.168 0.110
O 0.195 0.869 0.954
O 0.256 0.126 0.564
O 0.294 0.365 0.417
O 0.366 0.760 0.343
O 0.376 0.268 0.822
O 0.438 0.568 0.775
O 0.487 0.978 0.752
O 0.513 0.022 0.248
O 0.562 0.432 0.225
O 0.624 0.732 0.178
O 0.634 0.240 0.657
O 0.706 0.635 0.583
O 0.744 0.874 0.436
O 0.805 0.131 0.046
O 0.821 0.832 0.890
O 0.857 0.518 0.098
O 0.885 0.602 0.365
O 0.931 0.231 0.404
O 0.990 0.008 0.806


Record 7
The following is a PBE+U calculation of NiAgP3O9 after structural relaxation, from the Materials Project.

Lattice parameters (Å, degrees): 14.062 10.863 10.049 90.00 90.00 90.00
Positions (direct):
Ni 0.000 0.000 0.000
Ni 0.000 0.000 0.500
Ni 0.250 0.500 0.031
Ni 0.250 0.500 0.531
Ni 0.500 0.000 0.000
Ni 0.500 0.000 0.500
Ni 0.750 0.500 0.469
Ni 0.750 0.500 0.969
Ag 0.123 0.249 0.476
Ag 0.123 0.751 0.976
Ag 0.377 0.249 0.976
Ag 0.377 0.751 0.476
Ag 0.623 0.249 0.524
Ag 0.623 0.751 0.024
Ag 0.877 0.249 0.024
Ag 0.877 0.751 0.524
P 0.102 0.470 0.786
P 0.102 0.530 0.286
P 0.127 0.251 0.951
P 0.127 0.749 0.451
P 0.148 0.046 0.762
P 0.148 0.954 0.262
P 0.352 0.046 0.262
P 0.352 0.954 0.762
P 0.373 0.251 0.451
P 0.373 0.749 0.951
P 0.398 0.470 0.286
P 0.398 0.530 0.786
P 0.602 0.470 0.214
P 0.602 0.530 0.714
P 0.627 0.251 0.049
P 0.627 0.749 0.549
P 0.648 0.046 0.238
P 0.648 0.954 0.738
P 0.852 0.046 0.738
P 0.852 0.954 0.238
P 0.873 0.251 0.549
P 0.873 0.749 0.049
P 0.898 0.470 0.714
P 0.898 0.530 0.214
O 0.000 0.470 0.250
O 0.000 0.530 0.750
O 0.055 0.174 0.025
O 0.055 0.826 0.525
O 0.066 0.347 0.863
O 0.066 0.653 0.363
O 0.092 0.082 0.641
O 0.092 0.918 0.141
O 0.106 0.044 0.360
O 0.106 0.956 0.860
O 0.151 0.433 0.661
O 0.151 0.445 0.382
O 0.151 0.555 0.882
O 0.151 0.567 0.161
O 0.181 0.169 0.840
O 0.181 0.831 0.340
O 0.202 0.318 0.027
O 0.202 0.682 0.527
O 0.250 0.000 0.209
O 0.250 0.000 0.709
O 0.298 0.318 0.527
O 0.298 0.682 0.027
O 0.319 0.169 0.340
O 0.319 0.831 0.840
O 0.349 0.433 0.161
O 0.349 0.445 0.882
O 0.349 0.555 0.382
O 0.349 0.567 0.661
O 0.394 0.044 0.860
O 0.394 0.956 0.360
O 0.408 0.082 0.141
O 0.408 0.918 0.641
O 0.434 0.347 0.363
O 0.434 0.653 0.863
O 0.445 0.174 0.525
O 0.445 0.826 0.025
O 0.500 0.470 0.750
O 0.500 0.530 0.250
O 0.555 0.174 0.975
O 0.555 0.826 0.475
O 0.566 0.347 0.137
O 0.566 0.653 0.637
O 0.592 0.082 0.359
O 0.592 0.918 0.859
O 0.606 0.044 0.640
O 0.606 0.956 0.140
O 0.651 0.433 0.339
O 0.651 0.445 0.618
O 0.651 0.555 0.118
O 0.651 0.567 0.839
O 0.681 0.169 0.160
O 0.681 0.831 0.660
O 0.702 0.318 0.973
O 0.702 0.682 0.473
O 0.750 0.000 0.291
O 0.750 0.000 0.791
O 0.798 0.318 0.473
O 0.798 0.682 0.973
O 0.819 0.169 0.660
O 0.819 0.831 0.160
O 0.849 0.433 0.839
O 0.849 0.445 0.118
O 0.849 0.555 0.618
O 0.849 0.567 0.339
O 0.894 0.044 0.140
O 0.894 0.956 0.640
O 0.908 0.082 0.859
O 0.908 0.918 0.359
O 0.934 0.347 0.637
O 0.934 0.653 0.137
O 0.945 0.174 0.475
O 0.945 0.826 0.975


Record 8
The following is a PBE+U calculation of VAg2PO6 after structural relaxation, from the Materials Project.

Lattice parameters (Å, degrees): 7.057 7.057 6.435 90.03 90.03 53.47
Positions (direct):
V 0.115 0.115 0.414
V 0.885 0.885 0.586
Ag 0.136 0.624 0.119
Ag 0.376 0.864 0.881
Ag 0.624 0.136 0.119
Ag 0.864 0.376 0.881
P 0.347 0.347 0.651
P 0.653 0.653 0.349
O 0.010 0.010 0.703
O 0.185 0.578 0.523
O 0.199 0.199 0.214
O 0.223 0.223 0.674
O 0.401 0.401 0.865
O 0.422 0.815 0.477
O 0.578 0.185 0.523
O 0.599 0.599 0.135
O 0.777 0.777 0.326
O 0.801 0.801 0.786
O 0.815 0.422 0.477
O 0.990 0.990 0.297


no.,formation energy from the elements (eV per atom),V (Å³ per atom)
1,-1.903,14.66
2,-0.802,11.99
3,-0.400,12.22
4,-0.802,12.02
5,-0.791,11.99
6,-1.506,14.11
7,-2.224,13.71
8,-1.879,12.88